Version P
Computed, not measured: crystalline O at its relaxed geometry at the r²SCAN level of DFT.

## Properties
Magnetization = 0.00 μB per cell
Crystal system = monoclinic

CIF file:
```
data_O
_chemical_formula_sum 'O16'
_cell_length_a 8.724
_cell_length_b 7.253
_cell_length_c 4.151
_cell_angle_alpha 90.00
_cell_angle_beta 116.24
_cell_angle_gamma 90.00
_symmetry_space_group_name_H-M 'C 1 2/m 1'
_symmetry_Int_Tables_number 12
_symmetry_space_group_name_Hall '-C 2y'
loop_
_atom_site_label
_atom_site_type_symbol
_atom_site_fract_x
_atom_site_fract_y
_atom_site_fract_z
O1 O 0.034 0.220 0.164
O2 O 0.188 0.500 0.832
O3 O 0.243 0.000 0.840
```


Version Q
Computed, not measured: crystalline O at its relaxed geometry at the r²SCAN level of DFT.

## Properties
Magnetization = 16.00 μB per cell
Crystal system = monoclinic

CIF file:
```
data_O
_chemical_formula_sum 'O16'
_cell_length_a 7.346
_cell_length_b 9.400
_cell_length_c 4.849
_cell_angle_alpha 90.00
_cell_angle_beta 121.24
_cell_angle_gamma 90.00
_symmetry_space_group_name_H-M 'C 1 2/c 1'
_symmetry_Int_Tables_number 15
_symmetry_space_group_name_Hall '-C 2yc'
loop_
_atom_site_label
_atom_site_type_symbol
_atom_site_fract_x
_atom_site_fract_y
_atom_site_fract_z
O1 O 0.142 0.138 0.105
O2 O 0.198 0.386 0.634
```


Which structure is the least stable? The one labeled version Q.


Version P
Computed, not measured: crystalline P2O5 at its relaxed geometry at the r²SCAN level of DFT.

## Properties
Magnetization = 0.00 μB per cell
Crystal system = trigonal

CIF file:
```
data_P2O5
_chemical_formula_sum 'P24 O60'
_cell_length_a 10.2256
_cell_length_b 10.2256
_cell_length_c 13.4243
_cell_angle_alpha 90.00
_cell_angle_beta 90.00
_cell_angle_gamma 120.00
_symmetry_space_group_name_H-M 'R 3 c'
_symmetry_Int_Tables_number 161
_symmetry_space_group_name_Hall 'R 3 -2"c'
loop_
_atom_site_label
_atom_site_type_symbol
_atom_site_fract_x
_atom_site_fract_y
_atom_site_fract_z
P1 P 0.0000 0.0000 0.0000
P2 P 0.1661 0.0168 0.3292
O1 O 0.0000 0.0000 0.1068
O2 O 0.0150 0.1473 0.7965
O3 O 0.0593 0.3619 0.9603
O4 O 0.1479 0.0167 0.4475
```


Version Q
Computed, not measured: crystalline P2O5 at its relaxed geometry at the r²SCAN level of DFT.

## Properties
Magnetization = 0.00 μB per cell
Crystal system = orthorhombic

CIF file:
```
data_P2O5
_chemical_formula_sum 'P8 O20'
_cell_length_a 9.192
_cell_length_b 4.890
_cell_length_c 7.207
_cell_angle_alpha 90.00
_cell_angle_beta 90.00
_cell_angle_gamma 90.00
_symmetry_space_group_name_H-M 'P n m a'
_symmetry_Int_Tables_number 62
_symmetry_space_group_name_Hall '-P 2ac 2n'
loop_
_atom_site_label
_atom_site_type_symbol
_atom_site_fract_x
_atom_site_fract_y
_atom_site_fract_z
P1 P 0.098 0.250 0.150
P2 P 0.245 0.750 0.285
O1 O 0.052 0.750 0.910
O2 O 0.136 0.250 0.655
O3 O 0.139 0.001 0.276
O4 O 0.221 0.250 0.999
```


Which structure is the least stable? The one labeled version P.


Version P
Computed, not measured: crystalline Sn2P2O7 at its relaxed geometry at the r²SCAN level of DFT.

## Properties
Magnetization = 0.00 μB per cell
Crystal system = triclinic

CIF file:
```
data_Sn2P2O7
_chemical_formula_sum 'Sn8 P8 O28'
_cell_length_a 5.288
_cell_length_b 11.526
_cell_length_c 11.657
_cell_angle_alpha 101.65
_cell_angle_beta 99.08
_cell_angle_gamma 98.65
_symmetry_space_group_name_H-M 'P -1'
_symmetry_Int_Tables_number 2
_symmetry_space_group_name_Hall '-P 1'
loop_
_atom_site_label
_atom_site_type_symbol
_atom_site_fract_x
_atom_site_fract_y
_atom_site_fract_z
Sn1 Sn 0.173 0.348 0.478
Sn2 Sn 0.234 0.866 0.969
Sn3 Sn 0.267 0.000 0.641
Sn4 Sn 0.314 0.554 0.131
P1 P 0.176 0.220 0.851
P2 P 0.206 0.770 0.354
P3 P 0.284 0.616 0.754
P4 P 0.309 0.173 0.243
O1 O 0.048 0.771 0.083
O2 O 0.082 0.253 0.725
O3 O 0.110 0.585 0.631
O4 O 0.139 0.181 0.338
O5 O 0.154 0.754 0.476
O6 O 0.155 0.126 0.117
O7 O 0.173 0.693 0.847
O8 O 0.242 0.095 0.820
O9 O 0.339 0.896 0.358
O10 O 0.347 0.502 0.787
O11 O 0.347 0.674 0.299
O12 O 0.415 0.315 0.915
O13 O 0.438 0.312 0.257
O14 O 0.468 0.893 0.736
```


Version Q
Computed, not measured: crystalline Sn2P2O7 at its relaxed geometry at the r²SCAN level of DFT.

## Properties
Magnetization = 0.00 μB per cell
Crystal system = monoclinic

CIF file:
```
data_Sn2P2O7
_chemical_formula_sum 'Sn4 P4 O14'
_cell_length_a 5.188
_cell_length_b 9.655
_cell_length_c 7.360
_cell_angle_alpha 90.00
_cell_angle_beta 114.79
_cell_angle_gamma 90.00
_symmetry_space_group_name_H-M 'P 1 21/c 1'
_symmetry_Int_Tables_number 14
_symmetry_space_group_name_Hall '-P 2ybc'
loop_
_atom_site_label
_atom_site_type_symbol
_atom_site_fract_x
_atom_site_fract_y
_atom_site_fract_z
Sn1 Sn 0.147 0.118 0.366
P1 P 0.382 0.608 0.607
O1 O 0.083 0.645 0.462
O2 O 0.395 0.539 0.797
O3 O 0.417 0.231 0.831
O4 O 0.500 0.000 0.000
```


Which structure is the least stable? The one labeled version Q.


Version P
Computed, not measured: crystalline VP4O12 at its relaxed geometry at the r²SCAN level of DFT.

## Properties
Magnetization = 2.00 μB per cell
Crystal system = monoclinic

CIF file:
```
data_VP4O12
_chemical_formula_sum 'V2 P8 O24'
_cell_length_a 5.109
_cell_length_b 13.462
_cell_length_c 7.201
_cell_angle_alpha 90.00
_cell_angle_beta 100.60
_cell_angle_gamma 90.00
_symmetry_space_group_name_H-M 'P 1 21 1'
_symmetry_Int_Tables_number 4
_symmetry_space_group_name_Hall 'P 2yb'
loop_
_atom_site_label
_atom_site_type_symbol
_atom_site_fract_x
_atom_site_fract_y
_atom_site_fract_z
V1 V 0.002 0.000 0.003
P1 P 0.277 0.595 0.379
P2 P 0.377 0.949 0.404
P3 P 0.477 0.363 0.936
P4 P 0.481 0.139 0.941
O1 O 0.124 0.681 0.417
O2 O 0.132 0.513 0.250
O3 O 0.141 0.989 0.261
O4 O 0.206 0.378 0.982
O5 O 0.212 0.123 0.988
O6 O 0.296 0.580 0.947
O7 O 0.302 0.924 0.958
O8 O 0.329 0.903 0.576
O9 O 0.424 0.542 0.563
O10 O 0.441 0.751 0.025
O11 O 0.467 0.377 0.718
O12 O 0.475 0.122 0.724
```


Version Q
Computed, not measured: crystalline VP4O12 at its relaxed geometry at the r²SCAN level of DFT.

## Properties
Magnetization = 4.00 μB per cell
Crystal system = monoclinic

CIF file:
```
data_VP4O12
_chemical_formula_sum 'V4 P16 O48'
_cell_length_a 16.756
_cell_length_b 12.476
_cell_length_c 5.144
_cell_angle_alpha 90.00
_cell_angle_beta 101.92
_cell_angle_gamma 90.00
_symmetry_space_group_name_H-M 'C 1 2/m 1'
_symmetry_Int_Tables_number 12
_symmetry_space_group_name_Hall '-C 2y'
loop_
_atom_site_label
_atom_site_type_symbol
_atom_site_fract_x
_atom_site_fract_y
_atom_site_fract_z
V1 V 0.250 0.250 0.000
P1 P 0.079 0.220 0.177
P2 P 0.190 0.380 0.466
O1 O 0.000 0.273 0.000
O2 O 0.068 0.124 0.319
O3 O 0.106 0.323 0.368
O4 O 0.142 0.221 0.996
O5 O 0.166 0.500 0.388
O6 O 0.216 0.374 0.761
O7 O 0.249 0.159 0.690
```


Which structure is the least stable? The one labeled version Q.